(1)
{"formula": "Mg16Al12Ga", "functional": "GGA-PBE", "state": "relaxed", "cell": [[-2.5802, -5.6699, 6.6586], [-6.9870, 1.3810, -5.6936], [6.9762, -3.6695, -4.5835]], "species": ["Al", "Al", "Al", "Al", "Al", "Al", "Al", "Al", "Al", "Al", "Al", "Al", "Ga", "Mg", "Mg", "Mg", "Mg", "Mg", "Mg", "Mg", "Mg", "Mg", "Mg", "Mg", "Mg", "Mg", "Mg", "Mg", "Mg"], "frac_coords": [[0.8137, 0.6307, 0.0000], [0.0000, 0.8137, 0.6307], [0.6307, 0.8137, 0.0000], [0.3693, 0.1830, 0.3693], [0.6307, 0.0000, 0.8137], [0.1863, 0.1863, 0.8170], [0.1830, 0.3693, 0.3693], [0.8137, 0.0000, 0.6307], [0.3693, 0.3693, 0.1830], [0.1863, 0.8170, 0.1863], [0.8170, 0.1863, 0.1863], [0.0000, 0.6307, 0.8137], [0.0000, 0.0000, 0.0000], [0.5989, 0.3140, 0.0000], [0.0000, 0.3140, 0.5989], [0.6647, 0.6647, 0.6647], [0.3140, 0.0000, 0.5989], [0.4011, 0.7151, 0.4011], [0.6860, 0.6860, 0.2849], [0.0000, 0.0000, 0.3353], [0.5989, 0.0000, 0.3140], [0.3353, 0.0000, 0.0000], [0.6860, 0.2849, 0.6860], [0.2849, 0.6860, 0.6860], [0.4011, 0.4011, 0.7151], [0.3140, 0.5989, 0.0000], [0.0000, 0.3353, 0.0000], [0.0000, 0.5989, 0.3140], [0.7151, 0.4011, 0.4011]], "m_tot_mub_per_cell": 0.1, "space_group": "I-43m, No. 217", "ef_mev_per_atom": -22.1, "relative_energy_ev_per_atom": 0.008}

=====

(2)
{"formula": "ReN2", "functional": "GGA-PBE", "state": "relaxed", "cell": [[2.8927, 0.0000, 0.0000], [0.0000, 4.0095, 0.0000], [0.0000, 0.2960, 5.0886]], "species": ["N", "N", "N", "N", "Re", "Re"], "frac_coords": [[0.0000, 0.2274, 0.4305], [0.5000, 0.3992, 0.8137], [0.5000, 0.9188, 0.0844], [0.5000, 0.6672, 0.6377], [0.5000, 0.4398, 0.2225], [0.0000, 0.0127, 0.7801]], "m_tot_mub_per_cell": 0.0, "space_group": "Pm, No. 6", "ef_mev_per_atom": 186.4}

=====

(3)
{"formula": "EuCu2", "functional": "GGA-PBE", "state": "relaxed", "cell": [[2.1335, -3.1241, 4.1714], [2.7436, 4.7594, 1.2381], [-5.4073, -1.5607, 0.1964]], "species": ["Cu", "Cu", "Cu", "Cu", "Eu", "Eu"], "frac_coords": [[0.7160, 0.1644, 0.5516], [0.1128, 0.1644, 0.9484], [0.8872, 0.8356, 0.0516], [0.2840, 0.8356, 0.4484], [0.7102, 0.4602, 0.2500], [0.2898, 0.5398, 0.7500]], "space_group": "Imma, No. 74", "ef_mev_per_atom": -138.5}

=====

(4)
{"formula": "Sm3PO7", "functional": "GGA-PBE", "state": "relaxed", "cell": [[9.0503, -1.6344, -0.7627], [-0.9936, -7.2790, 5.5849], [-4.3983, -4.1394, -10.6406]], "species": ["O", "O", "O", "O", "O", "O", "O", "O", "O", "O", "O", "O", "O", "O", "O", "O", "O", "O", "O", "O", "O", "O", "O", "O", "O", "O", "O", "O", "O", "O", "O", "O", "O", "O", "O", "O", "O", "O", "O", "O", "O", "O", "Sm", "Sm", "Sm", "Sm", "Sm", "Sm", "Sm", "Sm", "Sm", "Sm", "Sm", "Sm", "Sm", "Sm", "Sm", "Sm", "Sm", "Sm", "P", "P", "P", "P", "P", "P"], "frac_coords": [[0.7025, 0.2777, 0.1858], [0.7781, 0.2055, 0.8494], [0.8958, 0.0905, 0.0738], [0.0846, 0.5723, 0.9634], [0.0837, 0.8892, 0.2952], [0.3861, 0.9324, 0.7416], [0.4884, 0.2944, 0.7947], [0.4250, 0.2303, 0.4926], [0.7644, 0.7644, 0.0567], [0.7539, 0.7539, 0.6833], [0.4076, 0.8951, 0.4082], [0.0849, 0.0849, 0.4771], [0.1036, 0.1036, 0.9728], [0.6920, 0.6920, 0.4656], [0.5948, 0.0458, 0.6301], [0.2156, 0.2156, 0.3112], [0.8969, 0.8969, 0.8913], [0.2184, 0.2184, 0.6934], [0.0905, 0.8958, 0.0738], [0.9324, 0.3861, 0.7416], [0.2944, 0.4884, 0.7947], [0.4191, 0.4191, 0.3678], [0.9157, 0.4120, 0.0742], [0.4870, 0.6805, 0.5731], [0.5682, 0.0638, 0.2974], [0.2303, 0.4250, 0.4926], [0.7753, 0.2012, 0.5225], [0.5502, 0.7455, 0.8781], [0.6805, 0.4870, 0.5731], [0.8951, 0.4076, 0.4082], [0.7455, 0.5502, 0.8781], [0.2012, 0.7753, 0.5225], [0.4120, 0.9157, 0.0742], [0.2921, 0.2921, 0.9111], [0.0458, 0.5948, 0.6301], [0.2055, 0.7781, 0.8494], [0.0638, 0.5682, 0.2974], [0.2777, 0.7025, 0.1858], [0.5604, 0.5604, 0.0054], [0.5723, 0.0846, 0.9634], [0.8892, 0.0837, 0.2952], [0.8772, 0.8772, 0.3973], [0.9659, 0.3146, 0.2393], [0.3099, 0.6578, 0.3744], [0.6521, 0.9667, 0.7979], [0.6653, 0.0143, 0.1320], [0.2973, 0.6823, 0.6860], [0.6694, 0.3225, 0.9970], [0.3239, 0.0127, 0.9142], [0.9667, 0.6521, 0.7979], [0.0136, 0.3284, 0.5743], [0.6823, 0.2973, 0.6860], [0.0127, 0.3239, 0.9142], [0.3225, 0.6694, 0.9970], [0.3284, 0.0136, 0.5743], [0.0143, 0.6653, 0.1320], [0.6566, 0.9671, 0.4572], [0.9671, 0.6566, 0.4572], [0.3146, 0.9659, 0.2393], [0.6578, 0.3099, 0.3744], [0.9859, 0.9859, 0.3658], [0.6520, 0.6520, 0.5741], [0.3249, 0.3249, 0.7981], [0.9944, 0.9944, 0.0037], [0.6565, 0.6565, 0.9513], [0.3211, 0.3211, 0.4192]], "m_tot_mub_per_cell": 0.0, "space_group": "Cm, No. 8", "ef_mev_per_atom": -3668.3}

=====

(5)
{"formula": "AgBiO2", "functional": "GGA-PBE", "state": "relaxed", "cell": [[-2.9500, -0.3628, 1.9494], [-1.9859, -4.4885, -3.8406], [2.7761, -5.4203, 3.1922]], "species": ["Ag", "Ag", "O", "O", "O", "O", "Bi", "Bi"], "frac_coords": [[0.2500, 0.1863, 0.9102], [0.7500, 0.8137, 0.0898], [0.2500, 0.0974, 0.6241], [0.2500, 0.2882, 0.1871], [0.7500, 0.9026, 0.3759], [0.7500, 0.7118, 0.8129], [0.7500, 0.2471, 0.3880], [0.2500, 0.7529, 0.6120]], "m_tot_mub_per_cell": 0.0, "space_group": "P2_1/m, No. 11", "ef_mev_per_atom": -1116.4}

=====

(6)
{"formula": "TaNbCu6Se8", "functional": "GGA-PBE", "state": "relaxed", "cell": [[0.0000, 5.6919, 5.6919], [5.6919, 0.0000, 5.6919], [5.6919, 5.6919, 0.0000]], "species": ["Se", "Se", "Se", "Se", "Se", "Se", "Se", "Se", "Cu", "Cu", "Cu", "Cu", "Cu", "Cu", "Ta", "Nb"], "frac_coords": [[0.8748, 0.8748, 0.8748], [0.3749, 0.3749, 0.8752], [0.8748, 0.8748, 0.3757], [0.3757, 0.8748, 0.8748], [0.8752, 0.3749, 0.3749], [0.3749, 0.3749, 0.3749], [0.3749, 0.8752, 0.3749], [0.8748, 0.3757, 0.8748], [0.2499, 0.7501, 0.7501], [0.7501, 0.7501, 0.2499], [0.7501, 0.2499, 0.7501], [0.2499, 0.7501, 0.2499], [0.7501, 0.2499, 0.2499], [0.2499, 0.2499, 0.7501], [0.5000, 0.5000, 0.5000], [0.0000, 0.0000, 0.0000]], "m_tot_mub_per_cell": 0.0, "space_group": "F-43m, No. 216", "ef_mev_per_atom": -749.8}

=====

(7)
{"formula": "Ba3PrIrRuO9", "functional": "GGA-PBE", "state": "relaxed", "cell": [[-3.7178, 1.9478, 4.3336], [-1.2376, 1.1710, -5.7873], [-7.7833, -12.7982, -0.9250]], "species": ["Ru", "Ru", "O", "O", "O", "O", "O", "O", "O", "O", "O", "O", "O", "O", "O", "O", "O", "O", "O", "O", "Pr", "Pr", "Ba", "Ba", "Ba", "Ba", "Ba", "Ba", "Ir", "Ir"], "frac_coords": [[0.6667, 0.3333, 0.6656], [0.3333, 0.6667, 0.1656], [0.1791, 0.3582, 0.4096], [0.3582, 0.1791, 0.9096], [0.8209, 0.1791, 0.9096], [0.6406, 0.8203, 0.0922], [0.5101, 0.0202, 0.7492], [0.3594, 0.1797, 0.5922], [0.5101, 0.4899, 0.7492], [0.9798, 0.4899, 0.7492], [0.1791, 0.8209, 0.4096], [0.4899, 0.9798, 0.2492], [0.6418, 0.8209, 0.4096], [0.4899, 0.5101, 0.2492], [0.1797, 0.3594, 0.0922], [0.8203, 0.1797, 0.5922], [0.8203, 0.6406, 0.5922], [0.8209, 0.6418, 0.9096], [0.1797, 0.8203, 0.0922], [0.0202, 0.5101, 0.2492], [0.0000, 0.0000, 0.9990], [0.0000, 0.0000, 0.4990], [0.6667, 0.3333, 0.0993], [0.0000, 0.0000, 0.2503], [0.0000, 0.0000, 0.7503], [0.3333, 0.6667, 0.5993], [0.6667, 0.3333, 0.3997], [0.3333, 0.6667, 0.8997], [0.3333, 0.6667, 0.3330], [0.6667, 0.3333, 0.8330]], "m_tot_mub_per_cell": 4.0, "space_group": "P6_3mc, No. 186", "ef_mev_per_atom": -2515.8}

=====

(8)
{"formula": "Lu4InRh", "functional": "GGA-PBE", "state": "relaxed", "cell": [[0.0000, 6.7006, 6.7006], [6.7006, 0.0000, 6.7006], [6.7006, 6.7006, 0.0000]], "species": ["Rh", "Rh", "Rh", "Rh", "Lu", "Lu", "Lu", "Lu", "Lu", "Lu", "Lu", "Lu", "Lu", "Lu", "Lu", "Lu", "Lu", "Lu", "Lu", "Lu", "In", "In", "In", "In"], "frac_coords": [[0.3928, 0.3928, 0.8217], [0.3928, 0.8217, 0.3928], [0.3928, 0.3928, 0.3928], [0.8217, 0.3928, 0.3928], [0.5996, 0.5996, 0.5996], [0.1883, 0.8117, 0.1883], [0.5996, 0.5996, 0.2013], [0.2013, 0.5996, 0.5996], [0.8117, 0.8117, 0.1883], [0.8117, 0.1883, 0.8117], [0.0614, 0.4386, 0.4386], [0.4386, 0.0614, 0.4386], [0.0614, 0.4386, 0.0614], [0.1883, 0.1883, 0.8117], [0.4386, 0.4386, 0.0614], [0.5996, 0.2013, 0.5996], [0.4386, 0.0614, 0.0614], [0.1883, 0.8117, 0.8117], [0.8117, 0.1883, 0.1883], [0.0614, 0.0614, 0.4386], [0.8338, 0.8338, 0.4985], [0.8338, 0.4985, 0.8338], [0.8338, 0.8338, 0.8338], [0.4985, 0.8338, 0.8338]], "space_group": "F-43m, No. 216", "ef_mev_per_atom": -582.8}